(1)
Here is a relaxed structure of NbSe2Cl2 from the Materials Project database. Energies are from PBE.

Lattice parameters (Å, degrees): 6.4456 6.6140 7.9521 67.43 69.81 60.89
Sites, in units of the cell vectors:
Nb1 0.1294 0.2409 0.0000
Nb2 0.8706 0.7591 0.0000
Se1 0.0731 0.6038 0.6951
Se2 0.2709 0.4561 0.1297
Se3 0.7291 0.5439 0.8703
Se4 0.9269 0.3962 0.3049
Cl1 0.1477 0.9884 0.8008
Cl2 0.4319 0.8535 0.1997
Cl3 0.5681 0.1465 0.8003
Cl4 0.8523 0.0116 0.1992

Formation energy from the elements (meV per atom): -1164.5
Space group: P-1
E_tot (eV/atom): -5.077
Crystal system: triclinic



(2)
Here is a relaxed structure of Ca3Rh2N4 from the Materials Project database. Energies are from PBE.

Lattice parameters (Å, degrees): 6.9436 6.9436 5.4116 90.26 90.26 78.66
Sites, in units of the cell vectors:
Ca1 0.0969 0.9031 0.7500
Ca2 0.2401 0.5236 0.4555
Ca3 0.4764 0.7599 0.0445
Ca4 0.5236 0.2401 0.9555
Ca5 0.7599 0.4764 0.5445
Ca6 0.9031 0.0969 0.2500
Rh1 0.0953 0.3368 0.9108
Rh2 0.3368 0.0953 0.4108
Rh3 0.6632 0.9047 0.5892
Rh4 0.9047 0.6632 0.0892
N1 0.0776 0.2371 0.5629
N2 0.2226 0.5606 0.9811
N3 0.2371 0.0776 0.0629
N4 0.4394 0.7774 0.5189
N5 0.5606 0.2226 0.4811
N6 0.7629 0.9224 0.9371
N7 0.7774 0.4394 0.0189
N8 0.9224 0.7629 0.4371

Formation energy from the elements (meV per atom): -471.1
Space group: C2/c
E_tot (eV/atom): -6.321
Crystal system: monoclinic



(3)
Here is a relaxed structure of Ni10Sn5P3 from the Materials Project database. Energies are from PBE.

Lattice parameters (Å, degrees): 6.4402 8.3638 10.3178 73.50 84.40 82.75
Sites, in units of the cell vectors:
Ni1 0.0000 0.0000 0.0000
Ni2 0.0568 0.4317 0.1261
Ni3 0.0568 0.7036 0.2030
Ni4 0.1351 0.8650 0.3749
Ni5 0.1435 0.3511 0.5480
Ni6 0.2678 0.2126 0.9638
Ni7 0.2900 0.7258 0.8011
Ni8 0.3415 0.3967 0.3061
Ni9 0.3973 0.6066 0.0682
Ni10 0.4199 0.0829 0.2933
Ni11 0.5000 0.5000 0.5000
Ni12 0.5801 0.9171 0.7067
Ni13 0.6027 0.3934 0.9318
Ni14 0.6585 0.6033 0.6939
Ni15 0.7100 0.2742 0.1989
Ni16 0.7322 0.7874 0.0362
Ni17 0.8565 0.6489 0.4520
Ni18 0.8649 0.1350 0.6251
Ni19 0.9432 0.2964 0.7970
Ni20 0.9432 0.5683 0.8739
Sn1 0.0335 0.1843 0.3724
Sn2 0.2071 0.0490 0.7591
Sn3 0.2988 0.4486 0.7412
Sn4 0.3517 0.9111 0.1306
Sn5 0.4656 0.8184 0.5029
Sn6 0.5344 0.1816 0.4971
Sn7 0.6483 0.0889 0.8694
Sn8 0.7012 0.5514 0.2588
Sn9 0.7929 0.9510 0.2409
Sn10 0.9665 0.8157 0.6276
P1 0.0777 0.7199 0.9831
P2 0.1975 0.5939 0.3997
P3 0.3912 0.3160 0.1140
P4 0.6088 0.6840 0.8860
P5 0.8025 0.4061 0.6003
P6 0.9223 0.2801 0.0169

Formation energy from the elements (meV per atom): -383.8
Space group: P-1
E_tot (eV/atom): -5.611
Crystal system: triclinic



(4)
Here is a relaxed structure of Al2CoN3 from the Materials Project database. Energies are from PBE.

Lattice parameters (Å, degrees): 5.4964 5.4964 4.9409 90.00 90.00 58.77
Sites, in units of the cell vectors:
Al1 0.0035 0.3333 0.0000
Al2 0.3333 0.0035 0.5000
Al3 0.6667 0.9965 0.0000
Al4 0.9965 0.6667 0.5000
Co1 0.3437 0.6563 0.9991
Co2 0.6563 0.3437 0.4991
N1 0.0029 0.3378 0.3824
N2 0.3232 0.6768 0.3776
N3 0.3378 0.0029 0.8824
N4 0.6622 0.9971 0.3824
N5 0.6768 0.3232 0.8776
N6 0.9971 0.6622 0.8824

Formation energy from the elements (meV per atom): -817.9
Space group: Cmc2_1
E_tot (eV/atom): -7.239
Crystal system: orthorhombic



(5)
Here is a relaxed structure of Be4CoGe from the Materials Project database. Energies are from PBE.

Lattice parameters (Å, degrees): 4.2758 4.2758 4.2758 60.00 60.00 60.00
Sites, in units of the cell vectors:
Be1 0.3766 0.3766 0.3766
Be2 0.3766 0.3766 0.8702
Be3 0.3766 0.8702 0.3766
Be4 0.8702 0.3766 0.3766
Co1 0.7500 0.7500 0.7500
Ge1 0.0000 0.0000 0.0000

Formation energy from the elements (meV per atom): -81.2
Space group: F-43m
E_tot (eV/atom): -4.529
Crystal system: cubic



(6)
Here is a relaxed structure of ReO2F3 from the Materials Project database. Energies are from PBE.

Lattice parameters (Å, degrees): 7.7458 7.7458 13.8785 90.00 90.00 84.67
Sites, in units of the cell vectors:
Re1 0.1684 0.8316 0.8237
Re2 0.2390 0.2390 0.5000
Re3 0.2610 0.2610 0.0000
Re4 0.3316 0.6684 0.3237
Re5 0.6684 0.3316 0.6763
Re6 0.7390 0.7390 0.0000
Re7 0.7610 0.7610 0.5000
Re8 0.8316 0.1684 0.1763
O1 0.0764 0.2145 0.4198
O2 0.1151 0.6533 0.7627
O3 0.1533 0.6151 0.2627
O4 0.2145 0.0764 0.5802
O5 0.2855 0.4236 0.0802
O6 0.3467 0.8849 0.7627
O7 0.3849 0.8467 0.2627
O8 0.4236 0.2855 0.9198
O9 0.5764 0.7145 0.0802
O10 0.6151 0.1533 0.7373
O11 0.6533 0.1151 0.2373
O12 0.7145 0.5764 0.9198
O13 0.7855 0.9236 0.4198
O14 0.8467 0.3849 0.7373
O15 0.8849 0.3467 0.2373
O16 0.9236 0.7855 0.5802
F1 0.0052 0.9948 0.7678
F2 0.0444 0.1874 0.0801
F3 0.0793 0.3704 0.9273
F4 0.1296 0.4207 0.5727
F5 0.1874 0.0444 0.9199
F6 0.2151 0.7849 0.4267
F7 0.2849 0.7151 0.9267
F8 0.3126 0.4556 0.4199
F9 0.3704 0.0793 0.0727
F10 0.4207 0.1296 0.4273
F11 0.4556 0.3126 0.5801
F12 0.4948 0.5052 0.2678
F13 0.5052 0.4948 0.7322
F14 0.5444 0.6874 0.4199
F15 0.5793 0.8704 0.5727
F16 0.6296 0.9207 0.9273
F17 0.6874 0.5444 0.5801
F18 0.7151 0.2849 0.0733
F19 0.7849 0.2151 0.5733
F20 0.8126 0.9556 0.0801
F21 0.8704 0.5793 0.4273
F22 0.9207 0.6296 0.0727
F23 0.9556 0.8126 0.9199
F24 0.9948 0.0052 0.2322

Formation energy from the elements (meV per atom): -2399.1
Space group: Cmce
Excess energy over the best structure of this formula in the dataset (meV per atom): 0
E_tot (eV/atom): -6.620
Crystal system: orthorhombic



(7)
Here is a relaxed structure of CdPt3O4 from the Materials Project database. Energies are from PBE.

Lattice parameters (Å, degrees): 5.8748 5.8748 5.8748 90.00 90.00 90.00
Sites, in units of the cell vectors:
Cd1 0.0000 0.0000 0.0000
Cd2 0.5000 0.5000 0.5000
Pt1 0.0000 0.2500 0.5000
Pt2 0.0000 0.7500 0.5000
Pt3 0.2500 0.5000 0.0000
Pt4 0.5000 0.0000 0.2500
Pt5 0.5000 0.0000 0.7500
Pt6 0.7500 0.5000 0.0000
O1 0.2500 0.2500 0.2500
O2 0.2500 0.2500 0.7500
O3 0.2500 0.7500 0.2500
O4 0.2500 0.7500 0.7500
O5 0.7500 0.2500 0.2500
O6 0.7500 0.2500 0.7500
O7 0.7500 0.7500 0.2500
O8 0.7500 0.7500 0.7500

Formation energy from the elements (meV per atom): -806.0
Space group: Pm-3n
E_tot (eV/atom): -5.328
Crystal system: cubic



(8)
Here is a relaxed structure of Er3Ni13B2 from the Materials Project database. Energies are from PBE.

Lattice parameters (Å, degrees): 4.9237 4.9237 10.9051 90.00 90.00 120.31
Sites, in units of the cell vectors:
Er1 0.0000 0.0000 0.0000
Er2 0.0000 0.0000 0.3293
Er3 0.0000 0.0000 0.6707
Ni1 0.0000 0.5000 0.1341
Ni2 0.0000 0.5000 0.5000
Ni3 0.0000 0.5000 0.8659
Ni4 0.3334 0.6666 0.3192
Ni5 0.3334 0.6666 0.6808
Ni6 0.5000 0.0000 0.1341
Ni7 0.5000 0.0000 0.5000
Ni8 0.5000 0.0000 0.8659
Ni9 0.5000 0.5000 0.1339
Ni10 0.5000 0.5000 0.5000
Ni11 0.5000 0.5000 0.8661
Ni12 0.6666 0.3334 0.3192
Ni13 0.6666 0.3334 0.6808
B1 0.3334 0.6666 0.0000
B2 0.6666 0.3334 0.0000

Formation energy from the elements (meV per atom): -450.4
Space group: Cmmm
E_tot (eV/atom): -6.128
Crystal system: orthorhombic



Q: What is the formula in the second record?
A: Ca3Rh2N4



Q: Which of these has the lowest formation energy from the elements?
A: ReO2F3



Repeat the eighth record exactly.
Here is a relaxed structure of Er3Ni13B2 from the Materials Project database. Energies are from PBE.

Lattice parameters (Å, degrees): 4.9237 4.9237 10.9051 90.00 90.00 120.31
Sites, in units of the cell vectors:
Er1 0.0000 0.0000 0.0000
Er2 0.0000 0.0000 0.3293
Er3 0.0000 0.0000 0.6707
Ni1 0.0000 0.5000 0.1341
Ni2 0.0000 0.5000 0.5000
Ni3 0.0000 0.5000 0.8659
Ni4 0.3334 0.6666 0.3192
Ni5 0.3334 0.6666 0.6808
Ni6 0.5000 0.0000 0.1341
Ni7 0.5000 0.0000 0.5000
Ni8 0.5000 0.0000 0.8659
Ni9 0.5000 0.5000 0.1339
Ni10 0.5000 0.5000 0.5000
Ni11 0.5000 0.5000 0.8661
Ni12 0.6666 0.3334 0.3192
Ni13 0.6666 0.3334 0.6808
B1 0.3334 0.6666 0.0000
B2 0.6666 0.3334 0.0000

Formation energy from the elements (meV per atom): -450.4
Space group: Cmmm
E_tot (eV/atom): -6.128
Crystal system: orthorhombic